Record 1
! Zr2GaN3 | the Materials Project | PBE | optimized geometry; values from VASP
! **Calculated volume**: 84 Å³/f.u.
! **ΔH_f (0 K)**: -1117 meV/atom
&SYSTEM
  ibrav = 0, nat = 24, ntyp = 3
/
ATOMIC_SPECIES
N 14.01 N.upf
Ga 69.72 Ga.upf
Zr 91.22 Zr.upf
ATOMIC_POSITIONS angstrom
N -9.384 4.425 2.556
Ga -0.121 2.204 6.122
N -6.362 3.395 3.971
N -3.390 0.981 9.084
N 2.340 0.440 6.045
N -0.633 2.855 0.932
N -2.542 0.880 2.556
N -4.690 4.615 -0.077
N -0.665 0.785 4.980
Ga -6.251 1.974 9.006
Zr -0.589 1.618 2.920
N -0.806 -0.894 7.669
N -3.358 3.050 5.035
Zr -3.434 2.217 7.096
Zr -5.327 4.072 1.983
Zr 4.301 -0.417 5.570
Ga -3.901 1.631 3.893
N 0.668 -0.779 10.093
Zr -2.464 3.962 0.458
Ga 2.228 1.861 1.010
Zr -1.559 -0.127 9.558
N -7.648 2.652 7.669
Zr -8.324 4.252 4.445
Zr 1.304 -0.237 8.032
CELL_PARAMETERS angstrom
6.167 0.304 -0.210
-9.476 4.910 0.000
-0.714 -1.378 10.226



Record 2
! NaGa4 | the Materials Project | PBE | optimized geometry; values from VASP
! **Calculated volume**: 103 Å³/f.u.
! **ΔH_f (0 K)**: -143 meV/atom
&SYSTEM
  ibrav = 0, nat = 5, ntyp = 2
/
ATOMIC_SPECIES
Ga 69.72 Ga.upf
Na 22.99 Na.upf
ATOMIC_POSITIONS angstrom
Ga 2.139 0.000 2.828
Ga 0.000 0.000 6.906
Na 0.000 0.000 0.000
Ga 0.000 2.139 2.828
Ga 0.000 0.000 4.405
CELL_PARAMETERS angstrom
-2.139 2.139 5.656
2.139 -2.139 5.656
2.139 2.139 -5.656



Record 3
! NaGa | the Materials Project | PBE | optimized geometry; values from VASP
! **Calculated volume**: 50 Å³/f.u.
! **ΔH_f (0 K)**: 73 meV/atom
&SYSTEM
  ibrav = 0, nat = 4, ntyp = 2
/
ATOMIC_SPECIES
Na 22.99 Na.upf
Ga 69.72 Ga.upf
ATOMIC_POSITIONS angstrom
Na 3.028 0.914 3.673
Ga 3.028 -2.809 3.673
Ga 3.028 2.809 1.224
Na 3.028 -0.914 1.224
CELL_PARAMETERS angstrom
3.028 -3.397 0.000
3.028 3.397 0.000
0.000 0.000 4.898



Record 4
! NaGa | the Materials Project | PBE | optimized geometry; values from VASP
! **Calculated volume**: 56 Å³/f.u.
! **ΔH_f (0 K)**: -2 meV/atom
&SYSTEM
  ibrav = 0, nat = 4, ntyp = 2
/
ATOMIC_SPECIES
Ga 69.72 Ga.upf
Na 22.99 Na.upf
ATOMIC_POSITIONS angstrom
Ga -1.674 -4.536 1.088
Ga -4.425 1.302 -3.662
Na -2.108 -0.741 -2.652
Na -3.990 -2.494 0.078
CELL_PARAMETERS angstrom
-1.272 1.056 -4.924
-0.574 -5.046 1.090
-4.252 0.756 1.261



Record 5
! Na2Nb5Ga3P12O48 | the Materials Project | PBE | optimized geometry; values from VASP
! **Calculated volume**: 983 Å³/f.u.
! **ΔH_f (0 K)**: -2774 meV/atom
&SYSTEM
  ibrav = 0, nat = 210, ntyp = 5
/
ATOMIC_SPECIES
P 30.97 P.upf
O 16.00 O.upf
Ga 69.72 Ga.upf
Na 22.99 Na.upf
Nb 92.91 Nb.upf
ATOMIC_POSITIONS angstrom
P -6.270 1.783 9.689
O -11.661 4.024 9.248
O -3.028 3.356 8.780
P -5.379 1.894 1.588
O -11.835 3.751 6.784
O -10.598 11.617 10.884
Ga 1.701 13.515 13.132
O -10.533 7.842 7.597
O 0.247 4.002 9.656
P -6.857 4.354 5.063
O -5.238 0.340 1.698
O -5.443 16.231 9.239
Na 1.408 10.669 11.572
O -13.689 1.920 5.607
Nb 6.125 12.903 15.576
O -1.865 17.928 11.096
O -2.298 10.054 6.950
Ga 1.122 7.789 9.964
Nb -6.983 14.056 13.595
O -6.883 2.203 1.589
O -0.374 -1.655 6.533
O -9.664 6.629 4.041
Nb -2.890 9.287 13.736
O 0.751 12.983 8.841
O -10.530 18.518 11.558
O -0.444 11.662 6.670
O -1.275 13.734 10.204
O 1.609 1.983 8.275
O -10.924 10.645 7.489
P -5.331 6.162 9.200
O 4.298 4.745 9.691
O -9.871 10.913 14.569
O -7.068 5.902 4.876
O -8.040 15.887 10.341
O -6.899 -0.314 5.464
O -7.084 2.547 8.658
O 0.648 11.904 13.675
O -8.439 7.936 6.242
O -11.106 9.629 12.384
P -10.613 12.149 7.350
Ga -3.929 2.799 4.474
O -7.599 3.666 3.859
O -8.293 8.218 8.704
P -5.499 15.137 16.565
Nb -3.276 8.470 7.588
P 3.117 14.453 16.052
O -9.953 14.327 10.697
O -10.502 5.308 11.464
P 3.379 5.575 8.841
P -2.550 2.560 7.532
O -5.349 4.117 4.980
O -0.295 9.122 10.537
O -13.857 0.969 2.161
O -8.031 12.558 14.277
P -5.538 10.750 8.921
P -0.269 6.914 7.042
P -14.272 11.350 9.476
O -15.629 6.565 5.344
P -1.965 5.078 2.931
O -2.425 9.023 11.875
O -1.938 11.008 10.408
O -9.607 3.198 7.914
O -6.208 17.663 11.551
O -6.270 5.279 8.421
O -11.131 13.007 8.475
O -13.468 -0.414 4.589
O -2.895 4.402 3.938
O -11.940 13.877 14.746
O -3.789 14.393 9.455
O -15.132 12.192 8.463
O -13.513 10.315 8.574
O 2.126 9.454 9.484
O -6.255 14.366 15.454
O -3.232 13.276 14.239
O -4.620 11.666 9.691
O -1.471 16.579 13.465
P -0.521 15.733 14.375
Ga -2.898 12.598 9.823
O -4.086 8.176 5.765
O -9.046 9.677 10.990
O 2.386 4.697 8.005
P 0.250 13.758 10.102
O -2.404 1.601 4.118
Nb 0.135 -1.920 4.662
O -6.787 8.709 12.364
P -5.399 -0.136 5.317
P 4.627 11.955 12.561
O -1.433 15.067 15.442
O -2.651 -0.338 2.479
O -11.531 5.045 4.444
O -12.028 13.691 12.273
O 0.650 15.266 9.884
Nb -12.528 0.168 8.890
O -0.774 1.275 2.167
O -5.443 0.707 8.886
P -11.139 3.243 8.056
Nb -2.350 18.338 13.030
O 1.827 -0.991 4.909
Ga -7.997 4.290 8.266
O -12.749 8.825 6.259
O 0.415 16.691 15.135
P -10.288 1.168 3.802
O -13.985 4.689 5.475
P -3.932 12.553 13.052
O 0.381 7.675 8.181
Na -11.319 15.964 11.887
O -9.374 0.351 4.692
O 0.019 6.344 10.712
P -9.012 5.374 11.268
Nb -8.419 3.423 2.058
O -13.322 -0.154 7.058
O -11.054 2.197 4.603
O -14.111 16.816 9.783
O 2.439 17.069 11.057
P 3.093 16.483 12.335
O -4.856 -1.002 4.098
Ga -8.536 -1.390 5.135
O -13.302 12.269 10.196
O -8.380 4.549 10.169
O -4.384 6.891 8.188
O -5.452 12.906 13.167
O -4.008 14.701 16.527
O -6.480 10.002 9.896
P -13.342 15.721 8.993
O -4.025 17.255 12.677
Nb -7.952 7.603 4.350
O 2.995 15.989 15.944
O -1.800 4.651 10.952
Nb -12.066 9.072 8.081
O 3.125 12.217 12.642
P -1.760 9.505 10.519
O -1.002 5.999 3.646
O -11.536 1.693 8.248
P -9.027 7.434 7.592
O -1.216 10.312 14.082
O -0.214 5.366 7.254
O -7.512 3.859 6.343
P -10.536 10.117 11.027
Na -8.270 1.501 6.712
Na -12.311 6.097 6.484
O -6.037 7.243 10.057
O -1.007 2.682 7.465
O -8.993 -0.945 7.008
Nb -6.932 17.441 9.730
O -5.594 16.633 16.459
P -15.460 5.071 5.467
Nb -10.993 18.979 13.476
O -12.424 14.992 9.953
O -5.884 15.660 13.022
Nb -7.555 8.462 10.564
P -13.984 2.549 2.006
O -11.287 0.236 3.000
P -8.453 14.394 10.501
O -5.041 1.320 5.114
O 2.611 17.346 13.526
O -15.518 2.817 2.084
O -2.565 8.738 9.418
P -9.186 16.417 14.926
O -7.719 13.887 11.788
O -3.363 13.083 11.754
O -4.665 -0.727 6.563
P -13.947 0.454 5.797
P -2.017 11.584 6.748
O 1.203 3.355 5.825
O -3.820 11.032 13.241
O -6.058 18.024 14.017
O 4.637 14.129 16.034
O -2.486 12.397 7.942
O 2.822 15.007 12.503
Na -3.619 5.541 5.945
O 2.660 6.653 9.623
O 2.359 13.694 14.991
O -12.680 17.889 13.168
O 0.977 13.170 11.308
P -4.612 15.163 8.428
O -4.409 5.368 10.164
O 0.224 7.339 5.688
Ga -12.158 4.266 11.147
O -10.127 17.179 13.941
O 4.847 10.424 12.745
Nb 0.731 3.641 7.692
O -2.882 1.065 7.738
P -5.572 17.169 12.884
O -8.265 17.327 15.688
O -10.106 15.651 15.919
O -4.589 2.620 2.636
Nb 1.232 12.600 6.937
O -1.848 7.222 7.114
O -3.206 3.170 6.305
O -9.448 1.865 2.680
O -4.816 9.708 8.042
O 1.065 3.078 3.374
O -13.066 7.499 8.687
Na -2.629 15.357 11.336
O -6.466 11.564 7.961
O -8.940 5.936 7.725
O 3.231 0.102 8.389
P -1.675 0.639 3.227
O -7.901 13.579 9.325
O -8.450 15.355 14.061
O -9.071 12.281 7.177
O -11.281 9.347 9.913
P -0.261 4.867 10.821
O -0.781 -0.289 4.114
Ga -11.614 13.191 10.367
O -8.586 6.891 11.139
O 0.177 14.722 13.500
O -13.251 3.240 3.136
O 1.843 8.190 11.815
Ga -12.553 3.398 4.972
CELL_PARAMETERS angstrom
-17.317 1.214 0.988
4.452 -3.929 6.353
1.986 19.660 10.780



Record 6
! NaNbGaP3O12 | the Materials Project | PBE | optimized geometry; values from VASP
! **Calculated volume**: 244 Å³/f.u.
! **ΔH_f (0 K)**: -2733 meV/atom
&SYSTEM
  ibrav = 0, nat = 108, ntyp = 5
/
ATOMIC_SPECIES
O 16.00 O.upf
P 30.97 P.upf
Ga 69.72 Ga.upf
Nb 92.91 Nb.upf
Na 22.99 Na.upf
ATOMIC_POSITIONS angstrom
O 2.688 2.751 3.148
O 4.945 1.042 9.556
O -1.645 5.253 10.663
P 5.638 4.633 1.908
O 4.946 4.016 0.636
Ga 0.000 0.000 7.938
O 1.645 5.253 21.937
O -0.606 3.453 21.937
O 1.536 4.826 12.985
O 3.719 6.044 13.314
O 4.938 5.955 18.179
Nb 0.000 5.003 18.299
O 3.375 3.762 20.829
O 7.094 0.199 2.040
O 5.338 1.213 0.636
P 1.305 2.132 16.939
O 5.977 2.751 14.421
Na 0.000 0.000 11.191
P -1.193 2.806 20.697
O 1.570 5.201 5.798
O -1.005 3.714 19.425
O -1.536 4.826 1.712
Na 0.000 5.003 14.949
O 3.327 1.213 11.909
P 3.027 4.633 13.181
O -1.618 4.776 8.152
Na 0.000 5.003 3.676
O 1.618 4.776 19.425
O -0.613 1.515 4.394
O 1.005 3.714 8.152
O 3.719 4.016 11.909
O 0.613 6.517 8.152
O 0.957 1.261 2.040
O 1.570 0.199 13.314
O 0.613 1.515 15.667
O 3.327 6.215 4.394
Nb 0.000 0.000 14.542
Na 0.000 0.000 22.465
O 3.294 3.800 14.421
O 0.606 3.453 10.663
O 2.796 7.327 9.227
P 6.831 2.566 13.181
O -0.615 1.419 20.500
O 3.411 6.262 20.500
O 2.796 2.325 16.743
O -0.615 6.421 12.985
O 2.762 2.700 9.556
O 3.411 1.259 5.469
O 3.717 3.920 5.469
O 1.039 6.302 10.663
O 1.039 1.299 18.179
O 3.727 5.955 6.906
Nb 0.000 5.003 7.026
Nb 4.332 2.501 10.784
O 2.714 7.277 15.667
P 2.499 5.067 20.697
O -3.411 6.262 9.227
O 7.707 1.261 13.314
O -0.613 3.543 5.798
O -3.327 6.215 15.667
O -1.570 5.201 17.071
P 6.166 0.065 16.939
P -1.305 7.134 20.697
P 5.526 5.308 16.939
O 7.020 0.250 18.179
Nb 0.000 0.000 3.268
P 1.834 2.566 1.908
Ga 0.000 5.003 11.696
O 4.945 6.044 2.040
O 0.615 1.419 9.227
Ga 0.000 5.003 0.423
O 4.938 0.952 3.148
Ga 4.332 2.501 4.180
O -2.796 7.327 20.500
O 3.719 1.042 20.829
O 3.727 0.952 14.421
P 5.526 0.305 1.908
P 1.305 7.134 9.424
O 0.613 3.543 17.071
Na 4.332 2.501 7.434
Nb 4.332 2.501 22.057
O -1.039 6.302 21.937
O 5.869 2.325 5.469
O 5.903 2.700 20.829
O 5.951 2.275 11.909
O 2.714 2.275 0.636
O -2.714 7.277 4.394
O 5.253 1.259 16.743
P 1.193 2.806 9.424
P -2.499 5.067 9.424
P 2.499 0.065 5.666
Ga 0.000 0.000 19.212
Ga 4.332 2.501 15.454
Na 4.332 2.501 18.707
P 7.359 2.132 5.666
O 4.948 3.920 16.743
O -0.921 3.760 12.985
O 5.371 3.800 3.148
O 0.921 3.760 1.712
O -0.957 6.263 5.798
P 3.139 0.305 13.181
P 3.139 5.308 5.666
O 5.290 3.762 9.556
O 7.626 1.299 6.906
O 0.957 6.263 17.071
O -0.613 6.517 19.425
O 0.615 6.421 1.712
O 1.645 0.250 6.906
CELL_PARAMETERS angstrom
8.665 0.000 0.000
-4.332 7.504 0.000
0.000 0.000 22.547